Below is a geometry-optimized Ca4Hg9 structure, with properties calculated at the PBE level.

Cell lengths 11.125, 11.125, 11.125 Å; angles 90.00, 90.00, 90.00 degrees
Atoms (fractional coordinates):
1 Ca 0.036 0.309 0.309
2 Ca 0.036 0.691 0.691
3 Ca 0.309 0.036 0.309
4 Ca 0.309 0.309 0.036
5 Ca 0.309 0.691 0.964
6 Ca 0.309 0.964 0.691
7 Ca 0.366 0.366 0.634
8 Ca 0.366 0.634 0.366
9 Ca 0.634 0.366 0.366
10 Ca 0.634 0.634 0.634
11 Ca 0.691 0.036 0.691
12 Ca 0.691 0.309 0.964
13 Ca 0.691 0.691 0.036
14 Ca 0.691 0.964 0.309
15 Ca 0.964 0.309 0.691
16 Ca 0.964 0.691 0.309
17 Hg 0.000 0.000 0.352
18 Hg 0.000 0.000 0.648
19 Hg 0.000 0.352 0.000
20 Hg 0.000 0.648 0.000
21 Hg 0.105 0.105 0.105
22 Hg 0.105 0.895 0.895
23 Hg 0.138 0.500 0.500
24 Hg 0.176 0.176 0.525
25 Hg 0.176 0.475 0.824
26 Hg 0.176 0.525 0.176
27 Hg 0.176 0.824 0.475
28 Hg 0.184 0.184 0.816
29 Hg 0.184 0.816 0.184
30 Hg 0.340 0.340 0.340
31 Hg 0.340 0.660 0.660
32 Hg 0.352 0.000 0.000
33 Hg 0.475 0.176 0.824
34 Hg 0.475 0.824 0.176
35 Hg 0.500 0.138 0.500
36 Hg 0.500 0.500 0.138
37 Hg 0.500 0.500 0.862
38 Hg 0.500 0.862 0.500
39 Hg 0.525 0.176 0.176
40 Hg 0.525 0.824 0.824
41 Hg 0.648 0.000 0.000
42 Hg 0.660 0.340 0.660
43 Hg 0.660 0.660 0.340
44 Hg 0.816 0.184 0.184
45 Hg 0.816 0.816 0.816
46 Hg 0.824 0.176 0.475
47 Hg 0.824 0.475 0.176
48 Hg 0.824 0.525 0.824
49 Hg 0.824 0.824 0.525
50 Hg 0.862 0.500 0.500
51 Hg 0.895 0.105 0.895
52 Hg 0.895 0.895 0.105

SG = P-43m, No. 215
magnetic moment = 0.01 μB/f.u.



Below is a geometry-optimized ScRuN6F6 structure, with properties calculated at the PBE level.

Cell lengths 8.921, 8.921, 8.921 Å; angles 90.00, 90.00, 90.00 degrees
Atoms (fractional coordinates):
1 Sc 0.000 0.000 0.000
2 Sc 0.000 0.500 0.500
3 Sc 0.500 0.000 0.500
4 Sc 0.500 0.500 0.000
5 Ru 0.000 0.000 0.500
6 Ru 0.000 0.500 0.000
7 Ru 0.500 0.000 0.000
8 Ru 0.500 0.500 0.500
9 N 0.015 0.020 0.276
10 N 0.015 0.480 0.776
11 N 0.020 0.224 0.515
12 N 0.020 0.276 0.015
13 N 0.224 0.515 0.020
14 N 0.224 0.985 0.520
15 N 0.276 0.015 0.020
16 N 0.276 0.485 0.520
17 N 0.480 0.724 0.515
18 N 0.480 0.776 0.015
19 N 0.485 0.520 0.276
20 N 0.485 0.980 0.776
21 N 0.515 0.020 0.224
22 N 0.515 0.480 0.724
23 N 0.520 0.224 0.985
24 N 0.520 0.276 0.485
25 N 0.724 0.515 0.480
26 N 0.724 0.985 0.980
27 N 0.776 0.015 0.480
28 N 0.776 0.485 0.980
29 N 0.980 0.724 0.985
30 N 0.980 0.776 0.485
31 N 0.985 0.520 0.224
32 N 0.985 0.980 0.724
33 F 0.060 0.625 0.712
34 F 0.060 0.875 0.212
35 F 0.125 0.712 0.440
36 F 0.125 0.788 0.940
37 F 0.212 0.060 0.875
38 F 0.212 0.440 0.375
39 F 0.288 0.560 0.875
40 F 0.288 0.940 0.375
41 F 0.375 0.212 0.440
42 F 0.375 0.288 0.940
43 F 0.440 0.125 0.712
44 F 0.440 0.375 0.212
45 F 0.560 0.625 0.788
46 F 0.560 0.875 0.288
47 F 0.625 0.712 0.060
48 F 0.625 0.788 0.560
49 F 0.712 0.060 0.625
50 F 0.712 0.440 0.125
51 F 0.788 0.560 0.625
52 F 0.788 0.940 0.125
53 F 0.875 0.212 0.060
54 F 0.875 0.288 0.560
55 F 0.940 0.125 0.788
56 F 0.940 0.375 0.288

SG = Pa-3, No. 205
magnetic moment = 3.00 μB/f.u.



Below is a geometry-optimized SmSnF7 structure, with properties calculated at the PBE level.

Cell lengths 9.158, 5.750, 12.309 Å; angles 90.00, 117.76, 90.00 degrees
Atoms (fractional coordinates):
1 Sm 0.188 0.242 0.265
2 Sm 0.188 0.258 0.765
3 Sm 0.812 0.742 0.235
4 Sm 0.812 0.758 0.735
5 Sn 0.273 0.744 0.043
6 Sn 0.273 0.756 0.543
7 Sn 0.727 0.244 0.457
8 Sn 0.727 0.256 0.957
9 F 0.027 0.740 0.946
10 F 0.027 0.760 0.446
11 F 0.030 0.581 0.733
12 F 0.030 0.919 0.233
13 F 0.256 0.544 0.170
14 F 0.256 0.956 0.670
15 F 0.270 0.019 0.141
16 F 0.270 0.481 0.641
17 F 0.283 0.045 0.455
18 F 0.283 0.455 0.955
19 F 0.291 0.548 0.420
20 F 0.291 0.952 0.920
21 F 0.482 0.231 0.360
22 F 0.482 0.269 0.860
23 F 0.518 0.731 0.140
24 F 0.518 0.769 0.640
25 F 0.709 0.048 0.080
26 F 0.709 0.452 0.580
27 F 0.717 0.545 0.045
28 F 0.717 0.955 0.545
29 F 0.730 0.519 0.359
30 F 0.730 0.981 0.859
31 F 0.744 0.044 0.330
32 F 0.744 0.456 0.830
33 F 0.970 0.081 0.767
34 F 0.970 0.419 0.267
35 F 0.973 0.240 0.554
36 F 0.973 0.260 0.054

SG = P2_1/c, No. 14



Below is a geometry-optimized Cs2Se structure, with properties calculated at the PBE level.

Cell lengths 5.630, 9.136, 12.174 Å; angles 90.00, 116.13, 90.00 degrees
Atoms (fractional coordinates):
1 Cs 0.090 0.023 0.330
2 Cs 0.090 0.477 0.830
3 Cs 0.332 0.645 0.575
4 Cs 0.332 0.855 0.075
5 Cs 0.668 0.145 0.925
6 Cs 0.668 0.355 0.425
7 Cs 0.910 0.523 0.170
8 Cs 0.910 0.977 0.670
9 Se 0.343 0.247 0.609
10 Se 0.343 0.253 0.109
11 Se 0.657 0.747 0.891
12 Se 0.657 0.753 0.391

SG = P2_1/c, No. 14



Below is a geometry-optimized Nd5As4Cl3O12 structure, with properties calculated at the PBE level.

Cell lengths 10.419, 5.489, 17.012 Å; angles 90.00, 123.73, 90.00 degrees
Atoms (fractional coordinates):
1 Nd 0.000 0.208 0.250
2 Nd 0.000 0.792 0.750
3 Nd 0.004 0.265 0.586
4 Nd 0.004 0.735 0.086
5 Nd 0.337 0.244 0.532
6 Nd 0.337 0.756 0.032
7 Nd 0.663 0.244 0.968
8 Nd 0.663 0.756 0.468
9 Nd 0.996 0.265 0.914
10 Nd 0.996 0.735 0.414
11 As 0.257 0.263 0.150
12 As 0.257 0.737 0.650
13 As 0.271 0.238 0.862
14 As 0.271 0.762 0.362
15 As 0.729 0.238 0.638
16 As 0.729 0.762 0.138
17 As 0.743 0.263 0.350
18 As 0.743 0.737 0.850
19 Cl 0.497 0.254 0.420
20 Cl 0.497 0.746 0.920
21 Cl 0.500 0.248 0.750
22 Cl 0.500 0.752 0.250
23 Cl 0.503 0.254 0.080
24 Cl 0.503 0.746 0.580
25 O 0.093 0.327 0.156
26 O 0.093 0.673 0.656
27 O 0.138 0.152 0.742
28 O 0.138 0.848 0.242
29 O 0.172 0.012 0.064
30 O 0.172 0.988 0.564
31 O 0.180 0.494 0.879
32 O 0.180 0.506 0.379
33 O 0.184 0.499 0.555
34 O 0.184 0.501 0.055
35 O 0.189 0.013 0.903
36 O 0.189 0.987 0.403
37 O 0.811 0.013 0.597
38 O 0.811 0.987 0.097
39 O 0.816 0.499 0.945
40 O 0.816 0.501 0.445
41 O 0.820 0.494 0.621
42 O 0.820 0.506 0.121
43 O 0.828 0.012 0.436
44 O 0.828 0.988 0.936
45 O 0.862 0.152 0.758
46 O 0.862 0.848 0.258
47 O 0.907 0.327 0.344
48 O 0.907 0.673 0.844

SG = P2/c, No. 13



Below is a geometry-optimized Ba3Ho4O9 structure, with properties calculated at the PBE level.

Cell lengths 9.213, 9.213, 9.213 Å; angles 38.84, 38.84, 38.84 degrees
Atoms (fractional coordinates):
1 Ba 0.000 0.000 0.000
2 Ba 0.166 0.166 0.166
3 Ba 0.578 0.578 0.578
4 Ho 0.301 0.301 0.301
5 Ho 0.427 0.427 0.427
6 Ho 0.739 0.739 0.739
7 Ho 0.865 0.865 0.865
8 O 0.024 0.144 0.581
9 O 0.043 0.584 0.457
10 O 0.128 0.697 0.595
11 O 0.144 0.581 0.024
12 O 0.457 0.043 0.584
13 O 0.581 0.024 0.144
14 O 0.584 0.457 0.043
15 O 0.595 0.128 0.697
16 O 0.697 0.595 0.128

SG = R3, No. 146



| no. | E_form (eV per atom) | volume (Å³/cell) | E (eV/atom) |
| --- | --- | --- | --- |
| 1 | -0.40 | 1377.0 | -1.228 |
| 2 | 0.02 | 710.0 | -5.288 |
| 3 | -3.56 | 573.5 | -5.661 |
| 4 | -1.19 | 562.2 | -2.790 |
| 5 | -2.79 | 809.2 | -6.922 |
| 6 | -3.58 | 276.5 | -7.485 |